Entry 1:
Here is an optimized crystal structure of SrSb2Pd2 from the Materials Project database. Energies are from PBE-GGA.

abc: 4.6920 4.6920 6.4552
angles: 111.31 111.31 90.00
Last column: nearest neighbours and their distance in Å.
Fractional positions:
Sr1 0.0000 0.0000 0.0000  8 Sb 3.63, 8 Pd 3.63
Pd1 0.7500 0.2500 0.5000  4 Sb 2.68
Pd2 0.2500 0.7500 0.5000  4 Sb 2.68
Sb1 0.6321 0.6321 0.2642  4 Pd 2.68, 1 Sb 2.93
Sb2 0.3679 0.3679 0.7358  4 Pd 2.68, 1 Sb 2.93

---

Entry 2:
Here is an optimized crystal structure of UMn2 from the Materials Project database. Energies are from PBE-GGA.

abc: 5.0489 5.0489 5.0489
angles: 128.26 117.54 85.32
Last column: nearest neighbours and their distance in Å.
Fractional positions:
U1 0.6153 0.8653 0.7500  12 Mn 2.75-3.06, 2 U 2.79
U2 0.3847 0.1347 0.2500  12 Mn 2.75-3.06, 2 U 2.79
Mn1 0.5000 0.5000 0.0000  6 Mn 2.52-2.62, 4 U 2.75
Mn2 0.0000 0.5000 0.0000  2 Mn 2.20
Mn3 0.0000 0.0000 0.5000  2 Mn 2.20
Mn4 0.0000 0.5000 0.5000  6 Mn 2.52-2.62, 4 U 2.75

---

In the order shown, the computed ΔE_f values come out to -755; -46 meV per atom.